1.
Density functional theory data (meta-GGA r2SCAN) for an optimized crystal structure of Tm5Co4Ge10.

Output
SG: P4/mbm
Energy of formation: -0.635 eV/atom

Unit cell a=4.120 b=12.581 c=12.581 alpha=90.00 beta=90.00 gamma=90.00
Element x y z (fractional)
Ge  0.500  0.835  0.995
Ge  0.500  0.005  0.835
Ge  0.000  0.430  0.070
Ge  0.500  0.165  0.005
Ge  0.500  0.335  0.505
Ge  0.500  0.495  0.335
Ge  0.000  0.845  0.800
Ge  0.000  0.070  0.570
Ge  0.500  0.995  0.165
Ge  0.000  0.655  0.300
Ge  0.000  0.345  0.700
Ge  0.000  0.300  0.345
Ge  0.500  0.665  0.495
Ge  0.000  0.700  0.655
Ge  0.000  0.930  0.430
Ge  0.000  0.800  0.155
Ge  0.500  0.505  0.665
Ge  0.000  0.155  0.200
Ge  0.000  0.570  0.930
Ge  0.000  0.200  0.845
Co  0.000  0.255  0.525
Co  0.000  0.975  0.245
Co  0.000  0.525  0.745
Co  0.000  0.025  0.755
Co  0.000  0.745  0.475
Co  0.000  0.475  0.255
Co  0.000  0.755  0.975
Co  0.000  0.245  0.025
Tm  0.500  0.824  0.324
Tm  0.500  0.610  0.110
Tm  0.500  0.110  0.390
Tm  0.500  0.324  0.176
Tm  0.500  0.176  0.676
Tm  0.000  0.000  0.000
Tm  0.500  0.676  0.824
Tm  0.000  0.500  0.500
Tm  0.500  0.890  0.610
Tm  0.500  0.390  0.890

2.
Density functional theory data (meta-GGA r2SCAN) for an optimized crystal structure of UCo2Ge2.

Output
SG: P4/nmm
Energy of formation: -0.362 eV/atom

Unit cell a=4.118 b=4.118 c=9.229 alpha=90.00 beta=90.00 gamma=90.00
Element x y z (fractional)
U  0.250  0.250  0.755
U  0.750  0.750  0.245
Co  0.750  0.250  0.000
Co  0.750  0.750  0.624
Co  0.250  0.750  0.000
Co  0.250  0.250  0.376
Ge  0.750  0.750  0.872
Ge  0.750  0.250  0.500
Ge  0.250  0.750  0.500
Ge  0.250  0.250  0.128

3.
Density functional theory data (meta-GGA r2SCAN) for an optimized crystal structure of YCoGe.

Output
SG: Pnma
Energy of formation: -0.625 eV/atom

Unit cell a=4.239 b=6.993 c=7.219 alpha=90.00 beta=90.00 gamma=90.00
Element x y z (fractional)
Ge  0.750  0.798  0.599
Ge  0.250  0.702  0.099
Ge  0.750  0.298  0.902
Ge  0.250  0.202  0.401
Y  0.750  0.487  0.297
Y  0.750  0.987  0.202
Y  0.250  0.013  0.798
Y  0.250  0.513  0.703
Co  0.250  0.840  0.433
Co  0.250  0.340  0.067
Co  0.750  0.160  0.567
Co  0.750  0.660  0.933

4.
Density functional theory data (meta-GGA r2SCAN) for an optimized crystal structure of YCoGe2.

Output
SG: Cmcm
Energy of formation: -0.630 eV/atom

Unit cell a=8.480 b=8.480 c=4.117 alpha=90.00 beta=90.00 gamma=151.78
Element x y z (fractional)
Co  0.319  0.681  0.750
Co  0.681  0.319  0.250
Ge  0.455  0.545  0.750
Ge  0.545  0.455  0.250
Ge  0.750  0.250  0.750
Ge  0.250  0.750  0.250
Y  0.890  0.110  0.250
Y  0.110  0.890  0.750

5.
Density functional theory data (meta-GGA r2SCAN) for an optimized crystal structure of Yb5Co4Ge10.

Output
SG: P4/mbm
Energy of formation: -0.631 eV/atom

Unit cell a=12.560 b=12.560 c=4.105 alpha=90.00 beta=90.00 gamma=90.00
Element x y z (fractional)
Ge  0.930  0.570  0.000
Ge  0.200  0.155  0.000
Ge  0.300  0.655  0.000
Ge  0.570  0.070  0.000
Ge  0.994  0.835  0.500
Ge  0.655  0.700  0.000
Ge  0.165  0.994  0.500
Ge  0.700  0.345  0.000
Ge  0.800  0.845  0.000
Ge  0.665  0.506  0.500
Ge  0.006  0.165  0.500
Ge  0.070  0.430  0.000
Ge  0.506  0.335  0.500
Ge  0.835  0.006  0.500
Ge  0.845  0.200  0.000
Ge  0.345  0.300  0.000
Ge  0.430  0.930  0.000
Ge  0.335  0.494  0.500
Ge  0.155  0.800  0.000
Ge  0.494  0.665  0.500
Yb  0.323  0.823  0.500
Yb  0.500  0.500  0.000
Yb  0.677  0.177  0.500
Yb  0.390  0.110  0.500
Yb  0.823  0.677  0.500
Yb  0.177  0.323  0.500
Yb  0.110  0.610  0.500
Yb  0.610  0.890  0.500
Yb  0.890  0.390  0.500
Yb  0.000  0.000  0.000
Co  0.025  0.245  0.000
Co  0.245  0.975  0.000
Co  0.255  0.475  0.000
Co  0.755  0.025  0.000
Co  0.975  0.755  0.000
Co  0.745  0.525  0.000
Co  0.475  0.745  0.000
Co  0.525  0.255  0.000

6.
Density functional theory data (meta-GGA r2SCAN) for an optimized crystal structure of YbCoGe.

Output
SG: Pnma
Energy of formation: -0.672 eV/atom

Unit cell a=4.167 b=7.039 c=6.741 alpha=90.00 beta=90.00 gamma=90.00
Element x y z (fractional)
Ge  0.750  0.897  0.205
Ge  0.250  0.103  0.795
Ge  0.750  0.603  0.705
Ge  0.250  0.397  0.295
Co  0.250  0.436  0.655
Co  0.750  0.564  0.345
Co  0.750  0.936  0.845
Co  0.250  0.064  0.155
Yb  0.250  0.801  0.489
Yb  0.750  0.301  0.011
Yb  0.250  0.699  0.989
Yb  0.750  0.199  0.511

7.
Density functional theory data (meta-GGA r2SCAN) for an optimized crystal structure of ZnCo2Ge.

Output
SG: Fm-3m
Energy of formation: -0.034 eV/atom

Unit cell a=4.026 b=4.026 c=4.026 alpha=60.00 beta=60.00 gamma=60.00
Element x y z (fractional)
Zn  0.500  0.500  0.500
Ge  0.000  0.000  0.000
Co  0.250  0.250  0.250
Co  0.750  0.750  0.750

8.
Density functional theory data (meta-GGA r2SCAN) for an optimized crystal structure of Zr6Co16Ge7.

Output
SG: Fm-3m
Energy of formation: -0.421 eV/atom

Unit cell a=8.181 b=8.181 c=8.181 alpha=60.00 beta=60.00 gamma=60.00
Element x y z (fractional)
Co  0.121  0.638  0.121
Co  0.638  0.121  0.121
Co  0.978  0.674  0.674
Co  0.674  0.978  0.674
Co  0.674  0.674  0.674
Co  0.121  0.121  0.638
Co  0.022  0.326  0.326
Co  0.326  0.326  0.326
Co  0.326  0.326  0.022
Co  0.121  0.121  0.121
Co  0.879  0.879  0.362
Co  0.879  0.362  0.879
Co  0.326  0.022  0.326
Co  0.362  0.879  0.879
Co  0.674  0.674  0.978
Co  0.879  0.879  0.879
Ge  0.500  0.000  0.500
Ge  0.000  0.500  0.500
Ge  0.000  0.000  0.500
Ge  0.500  0.500  0.000
Ge  0.500  0.000  0.000
Ge  0.000  0.500  0.000
Ge  0.000  0.000  0.000
Zr  0.291  0.709  0.709
Zr  0.709  0.291  0.291
Zr  0.709  0.709  0.291
Zr  0.709  0.291  0.709
Zr  0.291  0.709  0.291
Zr  0.291  0.291  0.709

9.
Density functional theory data (meta-GGA r2SCAN) for an optimized crystal structure of CoH.

Output
SG: Fm-3m
Energy of formation: 0.083 eV/atom

Unit cell a=2.606 b=2.606 c=2.606 alpha=60.00 beta=60.00 gamma=60.00
Element x y z (fractional)
Co  0.000  0.000  0.000
H  0.500  0.500  0.500

10.
Density functional theory data (meta-GGA r2SCAN) for an optimized crystal structure of Co4H.

Output
SG: P-3m1
Energy of formation: 0.041 eV/atom

Unit cell a=2.517 b=2.517 c=8.094 alpha=90.00 beta=90.00 gamma=120.00
Element x y z (fractional)
Co  0.333  0.667  0.866
Co  0.667  0.333  0.623
Co  0.667  0.333  0.134
Co  0.333  0.667  0.377
H  0.000  0.000  0.000

11.
Density functional theory data (meta-GGA r2SCAN) for an optimized crystal structure of ZnCoPHO5.

Output
Energy of formation: -1.829 eV/atom

Unit cell a=5.544 b=9.770 c=8.272 alpha=70.50 beta=96.01 gamma=91.88
Element x y z (fractional)
H  0.739  0.688  0.588
H  0.261  0.312  0.412
H  0.261  0.812  0.912
H  0.739  0.188  0.088
Co  0.500  0.500  0.500
Co  0.500  0.000  0.000
Co  0.000  0.500  0.500
Co  0.000  0.000  0.000
O  0.250  0.671  0.413
O  0.225  0.916  0.868
O  0.111  0.388  0.977
O  0.447  0.151  0.529
O  0.250  0.171  0.913
O  0.726  0.077  0.805
O  0.225  0.416  0.368
O  0.274  0.423  0.695
O  0.447  0.651  0.029
O  0.774  0.584  0.632
O  0.750  0.829  0.087
O  0.726  0.577  0.305
O  0.111  0.888  0.477
O  0.889  0.612  0.023
O  0.274  0.923  0.195
O  0.553  0.349  0.971
O  0.553  0.849  0.471
O  0.750  0.329  0.587
O  0.889  0.112  0.523
O  0.774  0.084  0.132
P  0.701  0.169  0.613
P  0.299  0.831  0.387
P  0.299  0.331  0.887
P  0.701  0.669  0.113
Zn  0.793  0.491  0.874
Zn  0.207  0.009  0.626
Zn  0.793  0.991  0.374
Zn  0.207  0.509  0.126

12.
Density functional theory data (meta-GGA r2SCAN) for an optimized crystal structure of ZrCoH3.

Output
SG: Cmcm
Energy of formation: -0.439 eV/atom

Unit cell a=5.513 b=5.513 c=4.369 alpha=90.00 beta=90.00 gamma=143.18
Element x y z (fractional)
H  0.189  0.811  0.497
H  0.189  0.811  0.003
H  0.574  0.426  0.750
H  0.811  0.189  0.997
H  0.426  0.574  0.250
H  0.811  0.189  0.503
Zr  0.368  0.632  0.750
Zr  0.632  0.368  0.250
Co  0.924  0.076  0.250
Co  0.076  0.924  0.750